Sb3PO7: relaxed, PBE-GGA.

Values from the calculation:
ΔE_f = -1.990 eV per atom
Magnetization = 0.00 μB/f.u.
Symmetry = No. 8

Cell and atoms, written as POSCAR:
```
Sb3PO7
1.0
-0.5651 -3.2437 9.0113
8.7329 -3.8741 -0.8787
7.3761 7.7770 6.4389
Sb O P
18 42 6
Direct
0.1163 0.8193 0.4963
0.4839 0.8383 0.9264
0.4858 0.8197 0.3249
0.4394 0.1238 0.0488
0.2225 0.5341 0.7285
0.8227 0.1965 0.1784
0.1791 0.4859 0.3772
0.5101 0.8737 0.6237
0.1743 0.8347 0.8373
0.1965 0.8227 0.1784
0.8737 0.5101 0.6237
0.1238 0.4394 0.0488
0.8193 0.1163 0.4963
0.8197 0.4858 0.3249
0.8347 0.1743 0.8373
0.4859 0.1791 0.3772
0.5341 0.2225 0.7285
0.8383 0.4839 0.9264
0.3892 0.9269 0.7678
0.8469 0.8469 0.8344
0.6000 0.1629 0.2265
0.9269 0.3892 0.7678
0.5470 0.0816 0.8862
0.4031 0.4031 0.5613
0.4288 0.9634 0.4217
0.5000 0.5000 0.3397
0.0816 0.5470 0.8862
0.8903 0.4179 0.0954
0.8500 0.6607 0.7226
0.3923 0.5794 0.8000
0.0815 0.5934 0.5589
0.2258 0.7547 0.6910
0.6652 0.4703 0.4729
0.0785 0.2642 0.9911
0.1629 0.6000 0.2265
0.5934 0.0815 0.5589
0.2714 0.7641 0.9710
0.0738 0.0738 0.8856
0.7641 0.2714 0.9710
0.2633 0.0734 0.2161
0.0718 0.0718 0.3963
0.4179 0.8903 0.0954
0.7547 0.2258 0.6910
0.9634 0.4288 0.4217
0.5704 0.5704 0.9203
0.4703 0.6652 0.4729
0.9548 0.7669 0.4245
0.2742 0.2742 0.8098
0.2721 0.2721 0.3163
0.7520 0.7520 0.3327
0.9176 0.9176 0.6129
0.3699 0.3699 0.9752
0.9520 0.9520 0.2406
0.2642 0.0785 0.9911
0.7669 0.9548 0.4245
0.6607 0.8500 0.7226
0.5794 0.3923 0.8000
0.7757 0.2631 0.3383
0.2631 0.7757 0.3383
0.0734 0.2633 0.2161
0.4782 0.4782 0.8767
0.8216 0.8216 0.7266
0.8581 0.8581 0.3501
0.1749 0.1749 0.9148
0.5042 0.5042 0.4615
0.1676 0.1676 0.2857
```